DFT (GGA-PBE) results for a geometry-optimized Cs2Cu3SnF12 structure.

Cell lengths 8.2858, 7.1240, 12.4482 Å; angles 90.00, 120.18, 90.00 degrees
With the nearest neighbours (Å) after each atom.
Fractional coordinates of all 36 atoms:
Cs  0.1791  0.0047  0.3924  10 F 3.18-3.52
Cs  0.1791  0.4953  0.8924  10 F 3.18-3.52
Cs  0.8209  0.5047  0.1076  10 F 3.18-3.52
Cs  0.8209  0.9953  0.6076  10 F 3.18-3.52
Cu  0.4914  0.2367  0.7439  4 F 1.91-1.92
Cu  0.4914  0.2633  0.2439  4 F 1.91-1.92
Cu  0.5000  0.0000  0.0000  4 F 1.90-1.91
Cu  0.5000  0.5000  0.5000  4 F 1.90-1.91
Cu  0.5086  0.7367  0.7561  4 F 1.91-1.92
Cu  0.5086  0.7633  0.2561  4 F 1.91-1.92
Sn  0.0000  0.0000  0.0000  6 F 2.01
Sn  0.0000  0.5000  0.5000  6 F 2.01
F  0.1494  0.2250  0.0964  1 Sn 2.01
F  0.1494  0.2750  0.5964  1 Sn 2.01
F  0.1582  0.6721  0.6428  1 Sn 2.01
F  0.1582  0.8279  0.1428  1 Sn 2.01
F  0.1621  0.5409  0.4246  1 Sn 2.01
F  0.1621  0.9591  0.9246  1 Sn 2.01
F  0.4368  0.1807  0.8722  2 Cu 1.90-1.91
F  0.4368  0.3193  0.3722  2 Cu 1.90-1.91
F  0.4496  0.5167  0.1851  2 Cu 1.91-1.92
F  0.4496  0.9833  0.6851  2 Cu 1.91-1.92
F  0.4755  0.7052  0.3935  2 Cu 1.91
F  0.4755  0.7948  0.8935  2 Cu 1.91
F  0.5245  0.2052  0.1065  2 Cu 1.91
F  0.5245  0.2948  0.6065  2 Cu 1.91
F  0.5504  0.0167  0.3149  2 Cu 1.91-1.92
F  0.5504  0.4833  0.8149  2 Cu 1.91-1.92
F  0.5632  0.6807  0.6278  2 Cu 1.90-1.91
F  0.5632  0.8193  0.1278  2 Cu 1.90-1.91
F  0.8379  0.0409  0.0754  1 Sn 2.01
F  0.8379  0.4591  0.5754  1 Sn 2.01
F  0.8418  0.1721  0.8572  1 Sn 2.01
F  0.8418  0.3279  0.3572  1 Sn 2.01
F  0.8506  0.7250  0.4036  1 Sn 2.01
F  0.8506  0.7750  0.9036  1 Sn 2.01

Results
energy above the lowest structure with this stoichiometry = 0 meV per atom
size of the total moment = 2.00 μB/cell
electronic total energy = -4.417 eV per atom
formation energy from the elements = -2.44 eV/atom
space group = No. 14

***

DFT (GGA-PBE) results for a geometry-optimized ThSiO4 structure.

Cell lengths 6.5562, 7.0255, 8.1429 Å; angles 90.00, 125.72, 90.00 degrees
With the nearest neighbours (Å) after each atom.
Fractional coordinates of all 24 atoms:
Th  0.1875  0.1530  0.2841  8 O 2.40-2.62
Th  0.1875  0.3470  0.7841  8 O 2.40-2.62
Th  0.8125  0.6530  0.2159  8 O 2.40-2.62
Th  0.8125  0.8470  0.7159  8 O 2.40-2.62
Si  0.3091  0.6615  0.1982  4 O 1.64-1.65
Si  0.3091  0.8385  0.6982  4 O 1.64-1.65
Si  0.6909  0.1615  0.3018  4 O 1.64-1.65
Si  0.6909  0.3385  0.8018  4 O 1.64-1.65
O  0.1076  0.6606  0.6115  1 Si 1.65
O  0.1076  0.8394  0.1115  1 Si 1.65
O  0.1736  0.0029  0.7476  1 Si 1.64
O  0.1736  0.4971  0.2476  1 Si 1.64
O  0.3481  0.6036  0.0225  1 Si 1.64
O  0.3481  0.8964  0.5225  1 Si 1.64
O  0.3989  0.2127  0.1192  1 Si 1.64
O  0.3989  0.2873  0.6192  1 Si 1.64
O  0.6011  0.7127  0.3808  1 Si 1.64
O  0.6011  0.7873  0.8808  1 Si 1.64
O  0.6519  0.1036  0.4775  1 Si 1.64
O  0.6519  0.3964  0.9775  1 Si 1.64
O  0.8264  0.5029  0.7524  1 Si 1.64
O  0.8264  0.9971  0.2524  1 Si 1.64
O  0.8924  0.1606  0.8885  1 Si 1.65
O  0.8924  0.3394  0.3885  1 Si 1.65

Results
size of the total moment = 0.00 μB/cell
electronic total energy = -8.771 eV per atom
formation energy from the elements = -3.79 eV/atom
space group = No. 14

***

DFT (GGA-PBE) results for a geometry-optimized LiTi2O4 structure.

Cell lengths 5.1444, 5.9950, 5.3015 Å; angles 90.00, 90.69, 90.00 degrees
With the nearest neighbours (Å) after each atom.
Fractional coordinates of all 14 atoms:
Li  0.1771  0.2500  0.0628  4 O 1.93-2.13
Li  0.8229  0.7500  0.9372  4 O 1.93-2.13
Ti  0.0000  0.0000  0.5000  6 O 2.01-2.02
Ti  0.0000  0.5000  0.5000  6 O 2.01-2.02
Ti  0.4749  0.7500  0.4851  6 O 1.98-2.10
Ti  0.5251  0.2500  0.5149  6 O 1.98-2.10
O  0.1573  0.7500  0.7041  3 Ti 2.01-2.02, 1 Li 2.13
O  0.1662  0.2500  0.6982  1 Li 1.93, 3 Ti 2.01-2.10
O  0.3327  0.0108  0.3021  3 Ti 1.98-2.07, 1 Li 2.07
O  0.3327  0.4892  0.3021  3 Ti 1.98-2.07, 1 Li 2.07
O  0.6673  0.5108  0.6979  3 Ti 1.98-2.07, 1 Li 2.07
O  0.6673  0.9892  0.6979  3 Ti 1.98-2.07, 1 Li 2.07
O  0.8338  0.7500  0.3018  1 Li 1.93, 3 Ti 2.01-2.10
O  0.8427  0.2500  0.2959  3 Ti 2.01-2.02, 1 Li 2.13

Results
energy above the lowest structure with this stoichiometry = 90 meV per atom
size of the total moment = 2.01 μB/cell
electronic total energy = -8.120 eV per atom
formation energy from the elements = -3.16 eV/atom
space group = No. 11

***

DFT (GGA-PBE) results for a geometry-optimized Tb2Fe4Si9 structure.

Cell lengths 3.9488, 3.9488, 16.0838 Å; angles 90.00, 90.00, 120.00 degrees
With the nearest neighbours (Å) after each atom.
Fractional coordinates of all 15 atoms:
Tb  0.3333  0.6667  0.2416  8 Si 2.88-3.19, 3 Fe 3.20
Tb  0.6667  0.3333  0.7584  8 Si 2.88-3.19, 3 Fe 3.20
Fe  0.3333  0.6667  0.5884  7 Si 2.31-2.48
Fe  0.3333  0.6667  0.8984  7 Si 2.31-2.47
Fe  0.6667  0.3333  0.1016  7 Si 2.31-2.47
Fe  0.6667  0.3333  0.4116  7 Si 2.31-2.48
Si  0.0000  0.0000  0.1265  3 Fe 2.31
Si  0.0000  0.0000  0.3511  4 Si 2.39-2.65, 3 Fe 2.48
Si  0.0000  0.0000  0.5000  8 Si 2.39-2.51
Si  0.0000  0.0000  0.6489  4 Si 2.39-2.65, 3 Fe 2.48
Si  0.0000  0.0000  0.8735  3 Fe 2.31
Si  0.3333  0.6667  0.0431  4 Fe 2.33-2.47
Si  0.3333  0.6667  0.4348  4 Fe 2.31-2.47, 3 Si 2.51
Si  0.6667  0.3333  0.5652  4 Fe 2.31-2.47, 3 Si 2.51
Si  0.6667  0.3333  0.9569  4 Fe 2.33-2.47

Results
size of the total moment = 0.01 μB/cell
electronic total energy = -6.471 eV per atom
formation energy from the elements = -0.30 eV/atom
space group = No. 164